1.
Compound: NaHoTl2
Source: the Materials Project
Functional: GGA-PBE
Structure: optimized geometry

**DFT total energy**: -2.883 eV per atom

Unit cell a=7.563 b=7.563 c=7.563 alpha=90.00 beta=90.00 gamma=90.00
Fractional coordinates of all 16 atoms:
Na  0.000  0.000  0.000
Na  0.000  0.500  0.500
Na  0.500  0.000  0.500
Na  0.500  0.500  0.000
Ho  0.000  0.000  0.500
Ho  0.000  0.500  0.000
Ho  0.500  0.000  0.000
Ho  0.500  0.500  0.500
Tl  0.250  0.250  0.250
Tl  0.250  0.250  0.750
Tl  0.250  0.750  0.250
Tl  0.250  0.750  0.750
Tl  0.750  0.250  0.250
Tl  0.750  0.250  0.750
Tl  0.750  0.750  0.250
Tl  0.750  0.750  0.750

=====

2.
Compound: ZnSnF5
Source: the Materials Project
Functional: GGA-PBE
Structure: optimized geometry

**Total magnetic moment**: 0.0 μB/f.u.
**DFT total energy**: -4.331 eV per atom
**Polymorph energy (0 for the lowest one)**: 16 meV/atom

Unit cell a=5.501 b=10.442 c=8.274 alpha=90.00 beta=110.54 gamma=90.00
Fractional coordinates of all 28 atoms:
Zn  0.006  0.008  0.263
Zn  0.006  0.492  0.763
Zn  0.994  0.508  0.237
Zn  0.994  0.992  0.737
Sn  0.409  0.244  0.107
Sn  0.409  0.256  0.607
Sn  0.591  0.744  0.393
Sn  0.591  0.756  0.893
F  0.108  0.110  0.090
F  0.108  0.390  0.590
F  0.144  0.105  0.488
F  0.144  0.395  0.988
F  0.256  0.630  0.831
F  0.256  0.870  0.331
F  0.340  0.582  0.303
F  0.340  0.918  0.803
F  0.353  0.194  0.841
F  0.353  0.306  0.341
F  0.647  0.694  0.659
F  0.647  0.806  0.159
F  0.660  0.082  0.197
F  0.660  0.418  0.697
F  0.744  0.130  0.669
F  0.744  0.370  0.169
F  0.856  0.605  0.012
F  0.856  0.895  0.512
F  0.892  0.610  0.410
F  0.892  0.890  0.910